An optimized crystal structure of Sm5Pb4. Source: the Materials Project, functional r²SCAN.

Summary:
Raw total energy (eV/atom): -42.306
Symmetry: Pnma, No. 62
ρ (Mg/m³): 9.36
Formation energy (eV/atom): -0.7717

a = 8.351 Å, b = 15.917 Å, c = 8.434 Å
α = 90.00°, β = 90.00°, γ = 90.00°
Atoms (fractional coordinates):
Sm  0.041  0.103  0.175
Sm  0.041  0.397  0.175
Sm  0.116  0.618  0.343
Sm  0.116  0.882  0.343
Sm  0.218  0.250  0.503
Sm  0.282  0.750  0.003
Sm  0.384  0.118  0.843
Sm  0.384  0.382  0.843
Sm  0.459  0.603  0.675
Sm  0.459  0.897  0.675
Sm  0.541  0.103  0.325
Sm  0.541  0.397  0.325
Sm  0.616  0.618  0.157
Sm  0.616  0.882  0.157
Sm  0.718  0.250  0.997
Sm  0.782  0.750  0.497
Sm  0.884  0.118  0.657
Sm  0.884  0.382  0.657
Sm  0.959  0.603  0.825
Sm  0.959  0.897  0.825
Pb  0.081  0.250  0.874
Pb  0.150  0.750  0.647
Pb  0.226  0.044  0.529
Pb  0.226  0.456  0.529
Pb  0.274  0.544  0.029
Pb  0.274  0.956  0.029
Pb  0.350  0.250  0.147
Pb  0.419  0.750  0.374
Pb  0.581  0.250  0.626
Pb  0.650  0.750  0.853
Pb  0.726  0.044  0.971
Pb  0.726  0.456  0.971
Pb  0.774  0.544  0.471
Pb  0.774  0.956  0.471
Pb  0.850  0.250  0.353
Pb  0.919  0.750  0.126